A plane-wave DFT calculation with r²SCAN was carried out for a relaxed Ga2NiO4 crystal.

Output
- calculated volume (Å³/atom) = 10.1
- formation enthalpy at 0 K (eV/f.u.) = -13.1

The structure in extended XYZ format:
```
28
Lattice="2.5582 -4.9936 -1.4306 4.7801 1.5562 3.1160 -3.2178 -3.5738 6.7208" Properties=species:S:1:pos:R:3 pbc="T T T"
Ni 1.4932 -6.0942 6.3657
Ni 5.4921 -3.5292 4.5633
Ni 0.2141 -3.5974 7.0810
Ni -0.5671 -2.5885 2.1626
O 3.8720 -3.3342 1.3383
O 1.9715 -4.5135 7.5624
O 3.3741 -1.8462 6.9719
O -0.0888 -1.0078 3.3593
O 1.4739 -4.1211 -0.2030
O 1.2705 -3.4155 2.4760
O 2.3751 -0.2057 4.9654
O 2.3322 -5.2805 4.6723
O 2.6699 -0.9877 2.0105
O 0.7726 -1.9275 8.1097
O -0.3447 -5.2675 6.0525
O 0.9760 -2.6331 5.4307
O 4.7302 -4.4934 6.2136
O 3.7347 -2.6132 4.0824
O -1.5433 -2.6814 6.6000
O 0.2719 -1.7748 0.4692
Ga 1.5858 -1.9915 9.7877
Ga 2.0838 -3.4795 4.1540
Ga -0.8161 -1.8446 4.9795
Ga 2.0719 -2.5545 0.9039
Ga 1.5620 -0.1415 3.2874
Ga 4.4619 -1.7764 2.4619
Ga 1.5739 -1.0665 6.5375
Ga -1.1578 -5.2033 4.3745
```



A plane-wave DFT calculation with r²SCAN was carried out for a relaxed CeMgCd2 crystal.

Output
- calculated volume (Å³/atom) = 24.8
- crystal system = cubic
- space-group type = No. 225
- formation enthalpy at 0 K (eV/f.u.) = -1.3

The structure in extended XYZ format:
```
4
Lattice="0.0000 3.6762 3.6762 3.6762 0.0000 3.6762 3.6762 3.6762 0.0000" Properties=species:S:1:pos:R:3 pbc="T T T"
Cd 1.8381 1.8381 1.8381
Cd 5.5143 5.5143 5.5143
Mg 0.0000 0.0000 0.0000
Ce 3.6762 3.6762 3.6762
```



A plane-wave DFT calculation with r²SCAN was carried out for a relaxed Lu4CdPt crystal.

Output
- calculated volume (Å³/atom) = 24.6
- crystal system = cubic
- space-group type = No. 216
- formation enthalpy at 0 K (eV/f.u.) = -4.3

The structure in extended XYZ format:
```
24
Lattice="0.0000 6.6546 6.6546 6.6546 0.0000 6.6546 6.6546 6.6546 0.0000" Properties=species:S:1:pos:R:3 pbc="T T T"
Lu 8.0262 8.0265 8.0263
Lu 2.4782 6.6544 6.6546
Lu 0.7964 3.3271 3.3273
Lu 6.6545 2.4780 6.6544
Lu 6.6547 6.6548 10.8312
Lu 5.2826 5.2829 8.0259
Lu 3.3276 5.8583 3.3276
Lu 3.3274 3.3276 5.8583
Lu 6.6546 6.6544 2.4781
Lu 3.3272 0.7963 3.3271
Lu 6.6548 10.8311 6.6548
Lu 3.3273 3.3270 0.7963
Lu 10.8313 6.6547 6.6546
Lu 5.2828 8.0259 5.2829
Lu 8.0259 5.2828 5.2826
Lu 5.8583 3.3275 3.3274
Pt 5.2347 8.0744 8.0743
Pt 8.0744 5.2347 8.0744
Pt 5.2347 5.2348 5.2347
Pt 8.0744 8.0744 5.2347
Cd 11.0726 8.8910 8.8910
Cd 8.8910 11.0727 8.8910
Cd 11.0727 11.0727 11.0727
Cd 8.8910 8.8910 11.0726
```